1.
Entry from the Materials Project: Pm2SnHg after structural relaxation (PBE).

Its formation energy from the elements is -2.401 eV/f.u. As for the raw total energy: -4.05 eV per atom.

The structure belongs to space group Fm-3m (No. 225); the cell edges are 7.665, 7.665 and 7.665 Å and the angles 90.00°, 90.00° and 90.00°. The asymmetric unit holds Pm at (0.250, 0.250, 0.250), Sn at (0.000, 0.000, 0.000) and Hg at (0.000, 0.000, 0.500).



2.
Entry from the Materials Project: Pr2SnHg after structural relaxation (PBE).

Its formation energy from the elements is -2.433 eV/f.u. As for the raw total energy: -4.08 eV per atom.

The structure belongs to space group Fm-3m (No. 225); the cell edges are 7.768, 7.768 and 7.768 Å and the angles 90.00°, 90.00° and 90.00°. The asymmetric unit holds Pr at (0.250, 0.250, 0.250), Sn at (0.000, 0.000, 0.000) and Hg at (0.000, 0.000, 0.500).